Density functional theory data (r²SCAN) for an optimized crystal structure of Ba3Hf2O7.

Summary:
- M_tot: 0.0 μB per formula unit
- Formation enthalpy at 0 K: -3540 meV/atom
- Energy: -21.17 eV per atom

Geometry as CIF:
```
data_Ba3Hf2O7
_chemical_formula_sum 'Ba6 Hf4 O14'
_space_group_name_H-M_alt 'I 4/m m m'
_space_group_IT_number 139
_space_group_name_Hall '-I 4 2'
_cell_length_a 4.1660
_cell_length_b 4.1660
_cell_length_c 21.8838
_cell_angle_alpha 90.00
_cell_angle_beta 90.00
_cell_angle_gamma 90.00
loop_
_atom_site_label
_atom_site_type_symbol
_atom_site_fract_x
_atom_site_fract_y
_atom_site_fract_z
_atom_site_occupancy
Ba1 Ba 0.0000 0.0000 0.0000 1
Ba2 Ba 0.0000 0.0000 0.1859 1
Hf1 Hf 0.0000 0.0000 0.4036 1
O1 O 0.0000 0.0000 0.3089 1
O2 O 0.0000 0.0000 0.5000 1
O3 O 0.0000 0.5000 0.0956 1
```